Version 1
A plane-wave DFT calculation with PBE was carried out for a relaxed Zr3S4 crystal.

Unit cell a=7.3525 b=7.3677 c=29.3351 alpha=59.88 beta=60.10 gamma=59.61
Closest atoms and distances in Å follow each position.
Fractional coordinates of all 56 atoms:
Zr 0.9879 0.0009 0.9976  6 S 2.52-2.68
Zr 0.4849 0.0028 0.0034  6 S 2.54-2.67
Zr 0.0000 0.5000 0.1250  6 S 2.57-2.61
Zr 0.9843 0.0162 0.3697  6 S 2.61-2.76
Zr 0.0000 0.0000 0.1250  6 S 2.63-2.67
Zr 0.5000 0.5000 0.1250  6 S 2.59-2.62
Zr 0.0121 0.9991 0.2524  6 S 2.52-2.68
Zr 0.9860 0.5346 0.9991  6 S 2.51-2.72
Zr 0.5219 0.0058 0.3763  6 S 2.51-2.74
Zr 0.5209 0.4607 0.3769  6 S 2.51-2.73
Zr 0.5151 0.9972 0.2466  6 S 2.54-2.67
Zr 0.9858 0.9953 0.7476  6 S 2.51-2.71
Zr 0.0142 0.0047 0.5024  6 S 2.51-2.71
Zr 0.0140 0.4654 0.2509  6 S 2.51-2.72
Zr 0.0000 0.0000 0.6250  6 S 2.64-2.68
Zr 0.5000 0.5000 0.6250  6 S 2.54-2.64
Zr 0.5129 0.9901 0.7520  6 S 2.63-2.74
Zr 0.4871 0.0099 0.4980  6 S 2.63-2.74
Zr 0.0138 0.4694 0.5024  6 S 2.51-2.72
Zr 0.5000 0.0000 0.6250  6 S 2.54-2.63
Zr 0.0157 0.9838 0.8803  6 S 2.61-2.76
Zr 0.4791 0.5393 0.8731  6 S 2.51-2.73
Zr 0.9862 0.5306 0.7476  6 S 2.51-2.72
Zr 0.4781 0.9942 0.8737  6 S 2.51-2.74
S 0.2473 0.2560 0.0625  4 Zr 2.54-2.66
S 0.2736 0.2302 0.1822  5 Zr 2.58-2.65
S 0.2523 0.7444 0.0604  5 Zr 2.57-2.67
S 0.2487 0.7395 0.1899  4 Zr 2.59-2.66
S 0.2610 0.2367 0.3131  4 Zr 2.57-2.66
S 0.7513 0.2605 0.0601  4 Zr 2.59-2.66
S 0.7264 0.7698 0.0678  5 Zr 2.58-2.65
S 0.2637 0.7438 0.3130  4 Zr 2.55-2.66
S 0.7477 0.2556 0.1896  5 Zr 2.57-2.67
S 0.2382 0.2627 0.4329  5 Zr 2.53-2.63
S 0.2538 0.7495 0.4358  5 Zr 2.71-2.76
S 0.7345 0.2678 0.3055  5 Zr 2.51-2.62
S 0.2528 0.2529 0.5638  4 Zr 2.51-2.64
S 0.7527 0.7440 0.1875  4 Zr 2.54-2.66
S 0.7577 0.2411 0.4396  4 Zr 2.53-2.63
S 0.7621 0.7360 0.3140  5 Zr 2.67-2.72
S 0.2386 0.2552 0.6881  5 Zr 2.63-2.74
S 0.2546 0.7385 0.5634  4 Zr 2.51-2.64
S 0.2633 0.7410 0.6890  5 Zr 2.55-2.68
S 0.7367 0.2590 0.5610  5 Zr 2.55-2.68
S 0.2413 0.2599 0.8107  4 Zr 2.53-2.63
S 0.7587 0.7401 0.4393  4 Zr 2.53-2.63
S 0.7454 0.2615 0.6866  4 Zr 2.51-2.64
S 0.7614 0.7448 0.5619  5 Zr 2.63-2.74
S 0.2423 0.7589 0.8104  4 Zr 2.53-2.63
S 0.2379 0.2640 0.9360  5 Zr 2.67-2.72
S 0.2655 0.7322 0.9445  5 Zr 2.51-2.62
S 0.7462 0.2505 0.8142  5 Zr 2.71-2.76
S 0.7472 0.7471 0.6862  4 Zr 2.51-2.64
S 0.7363 0.2562 0.9370  4 Zr 2.55-2.66
S 0.7618 0.7373 0.8171  5 Zr 2.53-2.63
S 0.7390 0.7633 0.9369  4 Zr 2.57-2.66

Results
The total moment is 0.00 μB per cell. The crystal system is triclinic.



Version 2
A plane-wave DFT calculation with PBE was carried out for a relaxed Zr3S4 crystal.

Unit cell a=7.3169 b=7.3525 c=24.3254 alpha=98.38 beta=90.23 gamma=119.70
Closest atoms and distances in Å follow each position.
Fractional coordinates of all 56 atoms:
Zr 0.2462 0.1067 0.6274  2 S 2.29-2.37
Zr 0.2596 0.6228 0.6216  2 S 2.27-2.32
Zr 0.0000 0.0000 0.5000  2 S 2.29
Zr 0.0056 0.2347 0.2553  2 S 2.30-2.34
Zr 0.5000 0.5000 0.5000  2 S 2.32
Zr 0.0000 0.5000 0.5000  2 S 2.29
Zr 0.7538 0.8933 0.3726  2 S 2.29-2.37
Zr 0.7829 0.6430 0.6259  2 S 2.26-2.34
Zr 0.0083 0.7815 0.2487  2 S 2.19-2.44
Zr 0.4644 0.2371 0.2481  2 S 2.28-2.38
Zr 0.7404 0.3772 0.3784  2 S 2.27-2.32
Zr 0.7405 0.3490 0.8774  2 S 2.22-2.37
Zr 0.2595 0.6510 0.1226  2 S 2.22-2.37
Zr 0.2171 0.3570 0.3741  2 S 2.26-2.34
Zr 0.5000 0.0000 0.0000  2 S 2.34
Zr 0.0000 0.0000 0.0000  4 S 2.34-2.59
Zr 0.7441 0.8840 0.8730  2 S 2.31-2.34
Zr 0.2559 0.1160 0.1270  2 S 2.31-2.34
Zr 0.7242 0.1154 0.1226  2 S 2.29-2.39
Zr 0.5000 0.5000 0.0000  2 S 2.28
Zr 0.9944 0.7653 0.7447  2 S 2.30-2.34
Zr 0.5356 0.7629 0.7519  2 S 2.28-2.38
Zr 0.2758 0.8846 0.8774  2 S 2.29-2.39
Zr 0.9917 0.2185 0.7513  2 S 2.19-2.44
S 0.6309 0.8156 0.5625  1 Zr 2.32
S 0.8447 0.1756 0.4428  2 Zr 2.29
S 0.1152 0.3030 0.5646  2 Zr 2.27-2.29
S 0.3694 0.6831 0.4351  1 Zr 2.34
S 0.1129 0.5620 0.3119  1 Zr 2.34
S 0.6306 0.3169 0.5649  1 Zr 2.34
S 0.1553 0.8244 0.5572  2 Zr 2.29
S 0.6198 0.0714 0.3120  2 Zr 2.32-2.58
S 0.8848 0.6970 0.4354  2 Zr 2.27-2.29
S 0.3786 0.9247 0.1921  2 Zr 2.22-2.28
S 0.8711 0.4357 0.1892  2 Zr 2.39-2.44
S 0.1289 0.0438 0.3195  2 Zr 2.19-2.26
S 0.6304 0.3219 0.0612  3 Zr 2.34-2.59
S 0.3691 0.1844 0.4375  1 Zr 2.32
S 0.3702 0.4425 0.1854  2 Zr 2.34-2.60
S 0.6140 0.5650 0.3110  2 Zr 2.37-2.38
S 0.8814 0.6830 0.9369  2 Zr 2.34-2.37
S 0.1152 0.8082 0.0616  2 Zr 2.31-2.52
S 0.3690 0.1963 0.9360  2 Zr 2.28-2.29
S 0.6310 0.8037 0.0640  2 Zr 2.28-2.29
S 0.1313 0.0583 0.8143  2 Zr 2.30-2.55
S 0.8687 0.9417 0.1857  2 Zr 2.30-2.55
S 0.8848 0.1918 0.9384  2 Zr 2.31-2.52
S 0.1186 0.3170 0.0631  2 Zr 2.34-2.37
S 0.6298 0.5575 0.8146  2 Zr 2.34-2.60
S 0.3860 0.4350 0.6890  2 Zr 2.37-2.38
S 0.8711 0.9562 0.6805  2 Zr 2.19-2.26
S 0.1289 0.5643 0.8108  2 Zr 2.39-2.44
S 0.3696 0.6781 0.9388  3 Zr 2.34-2.59
S 0.3802 0.9286 0.6880  2 Zr 2.32-2.58
S 0.6214 0.0753 0.8079  2 Zr 2.22-2.28
S 0.8871 0.4380 0.6881  1 Zr 2.34

Results
The total moment is 0.05 μB per cell. The crystal system is triclinic.



Energy ordering: version 1 at the bottom, the next structure 550 meV per atom above.



Version 1
A plane-wave DFT calculation with PBE was carried out for a relaxed Sb2TeSe2 crystal.

Unit cell a=10.5169 b=10.5169 c=10.5169 alpha=22.81 beta=22.81 gamma=22.81
Closest atoms and distances in Å follow each position.
Fractional coordinates of all 5 atoms:
Sb 0.5992 0.5992 0.5992  3 Se 2.84, 3 Te 3.17
Sb 0.4008 0.4008 0.4008  3 Se 2.84, 3 Te 3.17
Te 0.0000 0.0000 0.0000  6 Sb 3.17
Se 0.2167 0.2167 0.2167  3 Sb 2.84
Se 0.7833 0.7833 0.7833  3 Sb 2.84

Results
The total moment is 0.00 μB per cell. The crystal system is trigonal.



Version 2
A plane-wave DFT calculation with PBE was carried out for a relaxed Sb2TeSe2 crystal.

Unit cell a=10.4790 b=10.4790 c=10.4790 alpha=22.88 beta=22.88 gamma=22.88
Closest atoms and distances in Å follow each position.
Fractional coordinates of all 5 atoms:
Sb 0.3894 0.3894 0.3894  6 Se 2.84-3.02
Sb 0.6022 0.6022 0.6022  3 Te 2.99, 3 Se 3.04
Te 0.2106 0.2106 0.2106  3 Sb 2.99
Se 0.9963 0.9963 0.9963  6 Sb 3.02-3.04
Se 0.7723 0.7723 0.7723  3 Sb 2.84

Results
The value obtained for the largest piezoelectric modulus is 1.2 C/m². The crystal system is trigonal.



Energy ordering: version 2 at the bottom, the next structure 37 meV per atom above.



Version 1
A plane-wave DFT calculation with PBE was carried out for a relaxed Ta5Sb4 crystal.

Unit cell a=3.5851 b=7.5322 c=7.5322 alpha=86.75 beta=76.23 gamma=76.23
Closest atoms and distances in Å follow each position.
Fractional coordinates of all 9 atoms:
Ta 0.3134 0.3147 0.0586  5 Sb 2.81-2.86, 2 Ta 2.95
Ta 0.3720 0.9414 0.3147  5 Sb 2.81-2.86, 2 Ta 2.95
Ta 0.6280 0.0586 0.6853  5 Sb 2.81-2.86, 2 Ta 2.95
Ta 0.6866 0.6853 0.9414  5 Sb 2.81-2.86, 2 Ta 2.95
Ta 0.0000 0.0000 0.0000  8 Ta 2.95, 4 Sb 3.11
Sb 0.0522 0.6516 0.2440  6 Ta 2.81-3.11
Sb 0.2962 0.7560 0.6516  6 Ta 2.81-3.11
Sb 0.7038 0.2440 0.3484  6 Ta 2.81-3.11
Sb 0.9478 0.3484 0.7560  6 Ta 2.81-3.11

Results
The crystal system is tetragonal.



Version 2
A plane-wave DFT calculation with PBE was carried out for a relaxed Ta5Sb4 crystal.

Unit cell a=7.5628 b=7.5628 c=7.5628 alpha=92.89 beta=92.89 gamma=154.03
Closest atoms and distances in Å follow each position.
Fractional coordinates of all 9 atoms:
Ta 0.3486 0.9539 0.3026  4 Ta 2.89, 5 Sb 2.89-3.12
Ta 0.0461 0.3486 0.3947  4 Ta 2.89, 5 Sb 2.89-3.12
Ta 0.9539 0.6514 0.6053  4 Ta 2.89, 5 Sb 2.89-3.12
Ta 0.6514 0.0461 0.6974  4 Ta 2.89, 5 Sb 2.89-3.12
Ta 0.0000 0.0000 0.0000  8 Sb 2.88
Sb 0.3650 0.6774 0.0424  7 Ta 2.88-3.12
Sb 0.6774 0.6350 0.3124  7 Ta 2.88-3.12
Sb 0.6350 0.3226 0.9576  7 Ta 2.88-3.12
Sb 0.3226 0.3650 0.6876  7 Ta 2.88-3.12

Results
The total moment is 0.02 μB per cell. The crystal system is tetragonal.



Energy ordering: version 1 at the bottom, the next structure 268 meV per atom above.



Version 1
A plane-wave DFT calculation with PBE was carried out for a relaxed SbTe crystal.

Unit cell a=3.5858 b=3.5858 c=4.9867 alpha=90.00 beta=90.00 gamma=115.27
Closest atoms and distances in Å follow each position.
Fractional coordinates of all 2 atoms:
Sb 0.0000 0.0000 0.0000  4 Te 3.15
Te 0.5000 0.5000 0.5000  4 Sb 3.15

Results
The total moment is 0.02 μB per cell. The crystal system is orthorhombic.



Version 2
A plane-wave DFT calculation with PBE was carried out for a relaxed SbTe crystal.

Unit cell a=4.3515 b=4.3515 c=24.4922 alpha=90.00 beta=90.00 gamma=120.00
Closest atoms and distances in Å follow each position.
Fractional coordinates of all 12 atoms:
Sb 0.0000 0.0000 0.8687  6 Te 3.03-3.20
Sb 0.0000 0.0000 0.1313  6 Te 3.03-3.20
Sb 0.3333 0.6667 0.7072  6 Te 3.04-3.19
Sb 0.6667 0.3333 0.2928  6 Te 3.04-3.19
Sb 0.3333 0.6667 0.4682  3 Sb 2.95
Sb 0.6667 0.3333 0.5318  3 Sb 2.95
Te 0.3333 0.6667 0.9378  3 Sb 3.03
Te 0.6667 0.3333 0.0622  3 Sb 3.03
Te 0.3333 0.6667 0.2123  6 Sb 3.19-3.20
Te 0.6667 0.3333 0.7877  6 Sb 3.19-3.20
Te 0.0000 0.0000 0.6373  3 Sb 3.04
Te 0.0000 0.0000 0.3627  3 Sb 3.04

Results
The crystal system is trigonal.



Energy ordering: version 2 at the bottom, the next structure 364 meV per atom above.